Record 1
# YAlZn PBE optimized geometry
# DFT total energy ... -4.298 eV per atom
data_YAlZn
_chemical_formula_sum 'Y2 Al2 Zn2'
_cell_length_a 4.5024
_cell_length_b 4.5024
_cell_length_c 7.1157
_cell_angle_alpha 90.00
_cell_angle_beta 90.00
_cell_angle_gamma 120.00
_space_group_name_H-M_alt 'P 63/m m c'
_space_group_IT_number 194
_space_group_name_Hall '-P 6c 2c'
loop_
_atom_site_label
_atom_site_type_symbol
_atom_site_fract_x
_atom_site_fract_y
_atom_site_fract_z
Y1 Y 0.0000 0.0000 0.0000
Al1 Al 0.3333 0.6667 0.2500
Zn1 Zn 0.3333 0.6667 0.7500

Record 2
# Y2CrS4 PBE optimized geometry
# Energy with MP2020 corrections ... -7.47 eV/atom
data_Y2CrS4
_chemical_formula_sum 'Y16 Cr8 S32'
_cell_length_a 12.584
_cell_length_b 7.521
_cell_length_c 12.587
_cell_angle_alpha 90.00
_cell_angle_beta 90.00
_cell_angle_gamma 90.00
_space_group_name_H-M_alt 'P c a 21'
_space_group_IT_number 29
loop_
_space_group_symop_operation_xyz
'x,y,z'
'-x,-y,z+1/2'
'-x+1/2,y,z+1/2'
'x+1/2,-y,z'
loop_
_atom_site_label
_atom_site_type_symbol
_atom_site_fract_x
_atom_site_fract_y
_atom_site_fract_z
Y1 Y 0.109 0.113 0.000
Y2 Y 0.126 0.615 0.640
Y3 Y 0.135 0.369 0.307
Y4 Y 0.135 0.869 0.306
Cr1 Cr 0.112 0.616 0.008
Cr2 Cr 0.126 0.119 0.636
S1 S 0.009 0.115 0.193
S2 S 0.026 0.614 0.444
S3 S 0.027 0.626 0.181
S4 S 0.049 0.124 0.455
S5 S 0.208 0.118 0.810
S6 S 0.210 0.618 0.838
S7 S 0.230 0.859 0.085
S8 S 0.238 0.356 0.091